A relaxed Li5Mn6B6O18 crystal, computed with PBE+U.

Computed properties:
As for the energy of formation: -2476.8 meV per atom. The magnetic moment is 58.0 Bohr magnetons per cell. The excess energy over the best structure of this formula in the dataset is 19 kJ/mol of formula units.

Unit cell a=9.149 b=9.149 c=11.850 alpha=114.33 beta=114.33 gamma=59.92
Fractional coordinates of all 70 atoms:
Li1 0.055 0.568 0.250
Li2 0.097 0.575 0.006
Li3 0.229 0.771 0.500
Li4 0.392 0.896 0.249
Li5 0.432 0.904 0.001
Li6 0.568 0.055 0.750
Li7 0.575 0.097 0.506
Li8 0.771 0.229 0.000
Li9 0.896 0.392 0.749
Li10 0.904 0.432 0.501
Mn1 0.035 0.903 0.217
Mn2 0.087 0.890 0.963
Mn3 0.213 0.401 0.722
Mn4 0.241 0.413 0.470
Mn5 0.401 0.213 0.222
Mn6 0.413 0.241 0.970
Mn7 0.532 0.712 0.719
Mn8 0.560 0.746 0.469
Mn9 0.712 0.532 0.219
Mn10 0.746 0.560 0.969
Mn11 0.890 0.087 0.463
Mn12 0.903 0.035 0.717
B1 0.059 0.207 0.208
B2 0.085 0.232 0.961
B3 0.207 0.059 0.708
B4 0.232 0.085 0.461
B5 0.372 0.552 0.212
B6 0.416 0.569 0.968
B7 0.552 0.372 0.712
B8 0.569 0.416 0.468
B9 0.718 0.863 0.213
B10 0.742 0.903 0.962
B11 0.863 0.718 0.713
B12 0.903 0.742 0.462
O1 0.003 0.402 0.951
O2 0.022 0.144 0.675
O3 0.067 0.662 0.443
O4 0.137 0.982 0.423
O5 0.144 0.022 0.175
O6 0.151 0.266 0.505
O7 0.158 0.308 0.258
O8 0.194 0.632 0.199
O9 0.266 0.151 0.005
O10 0.281 0.883 0.688
O11 0.304 0.484 0.930
O12 0.308 0.158 0.758
O13 0.346 0.741 0.972
O14 0.372 0.456 0.673
O15 0.402 0.003 0.451
O16 0.456 0.372 0.173
O17 0.469 0.652 0.259
O18 0.473 0.597 0.503
O19 0.484 0.304 0.430
O20 0.540 0.946 0.199
O21 0.597 0.473 0.003
O22 0.632 0.194 0.699
O23 0.642 0.807 0.930
O24 0.652 0.469 0.759
O25 0.662 0.067 0.943
O26 0.679 0.801 0.675
O27 0.741 0.346 0.472
O28 0.801 0.679 0.175
O29 0.807 0.642 0.430
O30 0.819 0.960 0.265
O31 0.826 0.925 0.512
O32 0.883 0.281 0.188
O33 0.925 0.826 0.012
O34 0.946 0.540 0.699
O35 0.960 0.819 0.765
O36 0.982 0.137 0.923